# MgCu2Ni4O8, optimized geometry, DFT GGA+U
data_MgCu2Ni4O8
_space_group_name_H-M_alt 'P 1'
_space_group_IT_number 1
_cell_length_a 6.014
_cell_length_b 6.199
_cell_length_c 6.011
_cell_angle_alpha 58.95
_cell_angle_beta 92.65
_cell_angle_gamma 121.02
loop_
_space_group_symop_operation_xyz
'x,y,z'
loop_
_atom_site_label
_atom_site_type_symbol
_atom_site_fract_x
_atom_site_fract_y
_atom_site_fract_z
O1 O 0.375 0.796 0.375
Ni1 Ni 0.681 0.264 0.153
O2 O 0.375 0.204 0.375
O3 O 0.878 0.218 0.441
Cu1 Cu 0.298 0.500 0.298
O4 O 0.881 0.705 0.881
O5 O 0.881 0.295 0.881
Ni2 Ni 0.153 0.736 0.681
Ni3 Ni 0.628 0.738 0.628
O6 O 0.810 0.715 0.380
Ni4 Ni 0.628 0.262 0.628
O7 O 0.381 0.286 0.809
Mg1 Mg 0.185 0.000 0.185
O8 O 0.441 0.781 0.878
Cu2 Cu 0.883 0.999 0.884
# energy of formation	-1.0587	eV/atom
# E above lowest polymorph	77	meV/atom
# crystal system	orthorhombic